! GdSi2Au2 PBE-GGA optimized geometry; values from VASP
&SYSTEM
  ibrav = 0, nat = 10, ntyp = 3
/
ATOMIC_SPECIES
Gd 157.25 Gd.upf
Si 28.09 Si.upf
Au 196.97 Au.upf
CELL_PARAMETERS angstrom
4.297 0.000 0.000
0.000 4.297 0.000
0.000 0.000 10.233
ATOMIC_POSITIONS crystal
Gd 0.000 0.000 0.000
Gd 0.500 0.500 0.500
Si 0.000 0.000 0.387
Si 0.000 0.000 0.613
Si 0.500 0.500 0.113
Si 0.500 0.500 0.887
Au 0.000 0.500 0.250
Au 0.000 0.500 0.750
Au 0.500 0.000 0.250
Au 0.500 0.000 0.750
! ρ	10.68	g cm⁻³
! ΔE_f	-0.5834	eV per atom
! VASP energy	-6.878	eV/atom